{
  "formula": "FeNi",
  "functional": "meta-GGA r2SCAN",
  "state": "relaxed",
  "formation_enthalpy_0k_ev_per_atom": -0.102,
  "total_energy_ev_per_cell": -53.2,
  "lattice": [[3.5528, 0.0000, 0.0000], [0.0000, 3.5528, 0.0000], [0.0000, 0.0000, 3.5308]],
  "species": ["Fe", "Fe", "Ni", "Ni"],
  "frac_coords": [[0.0000, 0.0000, 0.0000], [0.5000, 0.5000, 0.0000], [0.0000, 0.5000, 0.5000], [0.5000, 0.0000, 0.5000]]
}